[1]
Compound: K2CeI5
Source: Materials Project
Functional: r2SCAN
Structure: relaxed

Summary:
Total magnetization ... 0.125 μB/atom
Total energy ... -22.43 eV/atom
Energy relative to the elements ... -1.72 eV/atom
Symmetry ... Pnma

a = 14.458 Å, b = 9.929 Å, c = 9.205 Å
α = 90.00°, β = 90.00°, γ = 90.00°
Fractional coordinates of all 32 atoms:
K1 0.173 0.003 0.054
K2 0.173 0.497 0.054
K3 0.327 0.503 0.554
K4 0.327 0.997 0.554
K5 0.673 0.003 0.446
K6 0.673 0.497 0.446
K7 0.827 0.503 0.946
K8 0.827 0.997 0.946
Ce1 0.006 0.250 0.581
Ce2 0.494 0.750 0.081
Ce3 0.506 0.250 0.919
Ce4 0.994 0.750 0.419
I1 0.007 0.250 0.936
I2 0.078 0.546 0.669
I3 0.078 0.954 0.669
I4 0.183 0.250 0.370
I5 0.209 0.750 0.334
I6 0.291 0.250 0.834
I7 0.317 0.750 0.870
I8 0.422 0.046 0.169
I9 0.422 0.454 0.169
I10 0.493 0.750 0.436
I11 0.507 0.250 0.564
I12 0.578 0.546 0.831
I13 0.578 0.954 0.831
I14 0.683 0.250 0.130
I15 0.709 0.750 0.166
I16 0.791 0.250 0.666
I17 0.817 0.750 0.630
I18 0.922 0.046 0.331
I19 0.922 0.454 0.331
I20 0.993 0.750 0.064


[2]
Compound: Rb2CeI5
Source: Materials Project
Functional: r2SCAN
Structure: relaxed

Summary:
Total magnetization ... 0.125 μB/atom
Total energy ... -24.43 eV/atom
Energy relative to the elements ... -1.74 eV/atom
Symmetry ... Pnma

a = 14.783 Å, b = 10.111 Å, c = 9.343 Å
α = 90.00°, β = 90.00°, γ = 90.00°
Fractional coordinates of all 32 atoms:
Rb1 0.172 0.005 0.062
Rb2 0.172 0.495 0.062
Rb3 0.328 0.505 0.562
Rb4 0.328 0.995 0.562
Rb5 0.672 0.005 0.438
Rb6 0.672 0.495 0.438
Rb7 0.828 0.505 0.938
Rb8 0.828 0.995 0.938
Ce1 0.006 0.250 0.579
Ce2 0.494 0.750 0.079
Ce3 0.506 0.250 0.921
Ce4 0.994 0.750 0.421
I1 0.009 0.250 0.927
I2 0.074 0.545 0.668
I3 0.074 0.955 0.668
I4 0.181 0.250 0.379
I5 0.204 0.750 0.342
I6 0.296 0.250 0.842
I7 0.319 0.750 0.879
I8 0.426 0.045 0.168
I9 0.426 0.455 0.168
I10 0.491 0.750 0.427
I11 0.509 0.250 0.573
I12 0.574 0.545 0.832
I13 0.574 0.955 0.832
I14 0.681 0.250 0.121
I15 0.704 0.750 0.158
I16 0.796 0.250 0.658
I17 0.819 0.750 0.621
I18 0.926 0.045 0.332
I19 0.926 0.455 0.332
I20 0.991 0.750 0.073


[3]
Compound: CeSiI
Source: Materials Project
Functional: r2SCAN
Structure: relaxed

Summary:
Total magnetization ... 0.374 μB/atom
Total energy ... -22.59 eV/atom
Energy relative to the elements ... -1.20 eV/atom
Symmetry ... P-3m1

a = 4.198 Å, b = 4.198 Å, c = 12.168 Å
α = 90.00°, β = 90.00°, γ = 120.00°
Fractional coordinates of all 6 atoms:
Ce1 0.000 0.000 0.165
Ce2 0.000 0.000 0.835
Si1 0.333 0.667 0.995
Si2 0.667 0.333 0.005
I1 0.333 0.667 0.342
I2 0.667 0.333 0.658


[4]
Compound: CeSmI4
Source: Materials Project
Functional: r2SCAN
Structure: relaxed

Summary:
Total magnetization ... 0.397 μB/atom
Total energy ... -27.89 eV/atom
Energy relative to the elements ... -1.43 eV/atom
Symmetry ... C2/c

a = 8.874 Å, b = 8.874 Å, c = 7.503 Å
α = 109.80°, β = 109.80°, γ = 110.10°
Fractional coordinates of all 12 atoms:
Ce1 0.001 0.999 0.750
Ce2 0.999 0.001 0.250
Sm1 0.367 0.633 0.750
Sm2 0.633 0.367 0.250
I1 0.056 0.688 0.409
I2 0.255 0.373 0.246
I3 0.312 0.944 0.091
I4 0.373 0.255 0.746
I5 0.627 0.745 0.254
I6 0.688 0.056 0.909
I7 0.745 0.627 0.754
I8 0.944 0.312 0.591


[5]
Compound: SrCeI4
Source: Materials Project
Functional: r2SCAN
Structure: relaxed

Summary:
Total magnetization ... 0.233 μB/atom
Total energy ... -25.80 eV/atom
Energy relative to the elements ... -1.76 eV/atom
Symmetry ... P-1

a = 7.500 Å, b = 8.682 Å, c = 9.102 Å
α = 113.40°, β = 108.72°, γ = 101.04°
Fractional coordinates of all 12 atoms:
Sr1 0.115 0.365 0.230
Sr2 0.885 0.635 0.770
Ce1 0.251 0.001 0.502
Ce2 0.749 0.999 0.498
I1 0.130 0.367 0.624
I2 0.142 0.054 0.854
I3 0.289 0.700 0.146
I4 0.494 0.757 0.624
I5 0.506 0.243 0.376
I6 0.711 0.300 0.854
I7 0.858 0.946 0.146
I8 0.870 0.633 0.376


[6]
Compound: Ce3In
Source: Materials Project
Functional: r2SCAN
Structure: relaxed

Summary:
Total magnetization ... 1.200 μB/atom
Total energy ... -29.12 eV/atom
Energy relative to the elements ... -0.34 eV/atom
Symmetry ... Pm-3m

a = 4.900 Å, b = 4.900 Å, c = 4.900 Å
α = 90.00°, β = 90.00°, γ = 90.00°
Fractional coordinates of all 4 atoms:
Ce1 0.000 0.000 0.500
Ce2 0.000 0.500 0.000
Ce3 0.500 0.000 0.000
In1 0.500 0.500 0.500


[7]
Compound: CeIn3
Source: Materials Project
Functional: r2SCAN
Structure: relaxed

Summary:
Total magnetization ... 0.256 μB/atom
Total energy ... -25.17 eV/atom
Energy relative to the elements ... -0.52 eV/atom
Symmetry ... Pm-3m

a = 4.695 Å, b = 4.695 Å, c = 4.695 Å
α = 90.00°, β = 90.00°, γ = 90.00°
Fractional coordinates of all 4 atoms:
Ce1 0.000 0.000 0.000
In1 0.000 0.500 0.500
In2 0.500 0.000 0.500
In3 0.500 0.500 0.000


[8]
Compound: CeIn5Ir
Source: Materials Project
Functional: r2SCAN
Structure: relaxed

Summary:
Total magnetization ... 0.138 μB/atom
Total energy ... -28.54 eV/atom
Energy relative to the elements ... -0.53 eV/atom
Symmetry ... P4/mmm

a = 4.704 Å, b = 4.704 Å, c = 7.518 Å
α = 90.00°, β = 90.00°, γ = 90.00°
Fractional coordinates of all 7 atoms:
Ce1 0.000 0.000 0.000
In1 0.000 0.500 0.304
In2 0.000 0.500 0.696
In3 0.500 0.000 0.304
In4 0.500 0.000 0.696
In5 0.500 0.500 0.000
Ir1 0.000 0.000 0.500


[9]
Compound: LaCeIn6
Source: Materials Project
Functional: r2SCAN
Structure: relaxed

Summary:
Total magnetization ... 0.127 μB/atom
Total energy ... -25.08 eV/atom
Energy relative to the elements ... -0.57 eV/atom
Symmetry ... P4/mmm

a = 4.754 Å, b = 4.754 Å, c = 9.434 Å
α = 90.00°, β = 90.00°, γ = 90.00°
Fractional coordinates of all 8 atoms:
La1 0.000 0.000 0.000
Ce1 0.000 0.000 0.500
In1 0.000 0.500 0.254
In2 0.000 0.500 0.746
In3 0.500 0.000 0.254
In4 0.500 0.000 0.746
In5 0.500 0.500 0.000
In6 0.500 0.500 0.500


[10]
Compound: CeInNi4
Source: Materials Project
Functional: r2SCAN
Structure: relaxed

Summary:
Total magnetization ... 0.098 μB/atom
Total energy ... -17.23 eV/atom
Energy relative to the elements ... -0.34 eV/atom
Symmetry ... F-43m

a = 4.976 Å, b = 4.976 Å, c = 4.976 Å
α = 60.00°, β = 60.00°, γ = 60.00°
Fractional coordinates of all 6 atoms:
Ce1 0.000 0.000 0.000
In1 0.750 0.750 0.750
Ni1 0.376 0.376 0.376
Ni2 0.376 0.376 0.872
Ni3 0.376 0.872 0.376
Ni4 0.872 0.376 0.376


[11]
Compound: Ce2InPd2
Source: Materials Project
Functional: r2SCAN
Structure: relaxed

Summary:
Total magnetization ... 0.356 μB/atom
Total energy ... -26.85 eV/atom
Energy relative to the elements ... -0.81 eV/atom
Symmetry ... P4/mbm

a = 7.824 Å, b = 7.824 Å, c = 3.854 Å
α = 90.00°, β = 90.00°, γ = 90.00°
Fractional coordinates of all 10 atoms:
Ce1 0.175 0.325 0.000
Ce2 0.325 0.825 0.000
Ce3 0.675 0.175 0.000
Ce4 0.825 0.675 0.000
In1 0.000 0.000 0.500
In2 0.500 0.500 0.500
Pd1 0.129 0.629 0.500
Pd2 0.371 0.129 0.500
Pd3 0.629 0.871 0.500
Pd4 0.871 0.371 0.500


[12]
Compound: CeInPd2
Source: Materials Project
Functional: r2SCAN
Structure: relaxed

Summary:
Total magnetization ... 0.225 μB/atom
Total energy ... -25.62 eV/atom
Energy relative to the elements ... -0.78 eV/atom
Symmetry ... P6_3/mmc

a = 4.636 Å, b = 4.636 Å, c = 9.179 Å
α = 90.00°, β = 90.00°, γ = 120.00°
Fractional coordinates of all 8 atoms:
Ce1 0.333 0.667 0.250
Ce2 0.667 0.333 0.750
In1 0.000 0.000 0.000
In2 0.000 0.000 0.500
Pd1 0.333 0.667 0.583
Pd2 0.333 0.667 0.917
Pd3 0.667 0.333 0.083
Pd4 0.667 0.333 0.417


[13]
Compound: CeInPd
Source: Materials Project
Functional: r2SCAN
Structure: relaxed

Summary:
Total magnetization ... 0.400 μB/atom
Total energy ... -26.30 eV/atom
Energy relative to the elements ... -0.84 eV/atom
Symmetry ... P-62m

a = 7.701 Å, b = 7.701 Å, c = 4.114 Å
α = 90.00°, β = 90.00°, γ = 120.00°
Fractional coordinates of all 9 atoms:
Ce1 0.000 0.585 0.000
Ce2 0.415 0.415 0.000
Ce3 0.585 0.000 0.000
In1 0.000 0.247 0.500
In2 0.247 0.000 0.500
In3 0.753 0.753 0.500
Pd1 0.000 0.000 0.000
Pd2 0.333 0.667 0.500
Pd3 0.667 0.333 0.500


[14]
Compound: Ce2InPt2
Source: Materials Project
Functional: r2SCAN
Structure: relaxed

Summary:
Total magnetization ... 0.315 μB/atom
Total energy ... -38.57 eV/atom
Energy relative to the elements ... -1.13 eV/atom
Symmetry ... P4/mbm

a = 7.834 Å, b = 7.834 Å, c = 3.808 Å
α = 90.00°, β = 90.00°, γ = 90.00°
Fractional coordinates of all 10 atoms:
Ce1 0.172 0.328 0.000
Ce2 0.328 0.828 0.000
Ce3 0.672 0.172 0.000
Ce4 0.828 0.672 0.000
In1 0.000 0.000 0.500
In2 0.500 0.500 0.500
Pt1 0.132 0.632 0.500
Pt2 0.368 0.132 0.500
Pt3 0.632 0.868 0.500
Pt4 0.868 0.368 0.500


[15]
Compound: CeInPt
Source: Materials Project
Functional: r2SCAN
Structure: relaxed

Summary:
Total magnetization ... 0.337 μB/atom
Total energy ... -36.05 eV/atom
Energy relative to the elements ... -1.08 eV/atom
Symmetry ... P-62m

a = 7.751 Å, b = 7.751 Å, c = 4.015 Å
α = 90.00°, β = 90.00°, γ = 120.00°
Fractional coordinates of all 9 atoms:
Ce1 0.000 0.413 0.000
Ce2 0.413 0.000 0.000
Ce3 0.587 0.587 0.000
In1 0.000 0.749 0.500
In2 0.251 0.251 0.500
In3 0.749 0.000 0.500
Pt1 0.000 0.000 0.000
Pt2 0.333 0.667 0.500
Pt3 0.667 0.333 0.500


[16]
Compound: Ce2In8Pt
Source: Materials Project
Functional: r2SCAN
Structure: relaxed

Summary:
Total magnetization ... 0.195 μB/atom
Total energy ... -27.29 eV/atom
Energy relative to the elements ... -0.58 eV/atom
Symmetry ... P4/mmm

a = 4.736 Å, b = 4.736 Å, c = 12.165 Å
α = 90.00°, β = 90.00°, γ = 90.00°
Fractional coordinates of all 11 atoms:
Ce1 0.000 0.000 0.192
Ce2 0.000 0.000 0.808
In1 0.000 0.500 0.000
In2 0.000 0.500 0.377
In3 0.000 0.500 0.623
In4 0.500 0.000 0.000
In5 0.500 0.000 0.377
In6 0.500 0.000 0.623
In7 0.500 0.500 0.195
In8 0.500 0.500 0.805
Pt1 0.000 0.000 0.500


[17]
Compound: Ce2In8Rh
Source: Materials Project
Functional: r2SCAN
Structure: relaxed

Summary:
Total magnetization ... 0.205 μB/atom
Total energy ... -24.78 eV/atom
Energy relative to the elements ... -0.56 eV/atom
Symmetry ... P4/mmm

a = 4.705 Å, b = 4.705 Å, c = 12.225 Å
α = 90.00°, β = 90.00°, γ = 90.00°
Fractional coordinates of all 11 atoms:
Ce1 0.000 0.000 0.192
Ce2 0.000 0.000 0.808
In1 0.000 0.500 0.000
In2 0.000 0.500 0.380
In3 0.000 0.500 0.620
In4 0.500 0.000 0.000
In5 0.500 0.000 0.380
In6 0.500 0.000 0.620
In7 0.500 0.500 0.193
In8 0.500 0.500 0.807
Rh1 0.000 0.000 0.500


[18]
Compound: CeIn5Rh
Source: Materials Project
Functional: r2SCAN
Structure: relaxed

Summary:
Total magnetization ... 0.147 μB/atom
Total energy ... -24.55 eV/atom
Energy relative to the elements ... -0.56 eV/atom
Symmetry ... P4/mmm

a = 4.696 Å, b = 4.696 Å, c = 7.536 Å
α = 90.00°, β = 90.00°, γ = 90.00°
Fractional coordinates of all 7 atoms:
Ce1 0.000 0.000 0.000
In1 0.000 0.500 0.305
In2 0.000 0.500 0.695
In3 0.500 0.000 0.305
In4 0.500 0.000 0.695
In5 0.500 0.500 0.000
Rh1 0.000 0.000 0.500


[19]
Compound: Ce2InRh2
Source: Materials Project
Functional: r2SCAN
Structure: relaxed

Summary:
Total magnetization ... 0.003 μB/atom
Total energy ... -27.33 eV/atom
Energy relative to the elements ... -0.82 eV/atom
Symmetry ... P4/mbm

a = 7.633 Å, b = 7.633 Å, c = 3.703 Å
α = 90.00°, β = 90.00°, γ = 90.00°
Fractional coordinates of all 10 atoms:
Ce1 0.171 0.329 0.000
Ce2 0.329 0.829 0.000
Ce3 0.671 0.171 0.000
Ce4 0.829 0.671 0.000
In1 0.000 0.000 0.500
In2 0.500 0.500 0.500
Rh1 0.138 0.638 0.500
Rh2 0.362 0.138 0.500
Rh3 0.638 0.862 0.500
Rh4 0.862 0.362 0.500


[20]
Compound: CeIn2Ru
Source: Materials Project
Functional: r2SCAN
Structure: relaxed

Summary:
Total magnetization ... 0.031 μB/atom
Total energy ... -25.92 eV/atom
Energy relative to the elements ... -0.56 eV/atom
Symmetry ... P2_1/m

a = 4.781 Å, b = 7.643 Å, c = 5.464 Å
α = 90.00°, β = 115.86°, γ = 90.00°
Fractional coordinates of all 8 atoms:
Ce1 0.057 0.250 0.115
Ce2 0.943 0.750 0.885
In1 0.351 0.045 0.702
In2 0.351 0.455 0.702
In3 0.649 0.545 0.298
In4 0.649 0.955 0.298
Ru1 0.168 0.750 0.338
Ru2 0.832 0.250 0.662